1.
# Mn6OF11

Crystalline Mn6OF11 at its relaxed geometry (PBE with a Hubbard U, the Materials Project database).

abc: 4.9587 5.8884 16.2370
angles: 90.33 90.47 90.84
Last column: nearest neighbours and their distance in Å.
Space group P1 (No. 1)
Asymmetric unit:
Mn (0.0000, 0.0000, 0.0000)  6 F 2.12-2.23
Mn (0.0004, 0.3379, 0.1716)  6 F 2.11-2.22
Mn (0.4925, 0.8401, 0.1690)  6 F 2.10-2.22
Mn (0.4980, 0.5023, 0.0010)  6 F 2.10-2.22
Mn (0.5022, 0.5267, 0.6693)  1 O 1.86, 3 F 2.03-2.07
Mn (0.5033, 0.5231, 0.3382)  1 O 1.87, 3 F 2.05-2.09
Mn (0.5078, 0.8374, 0.8287)  1 O 2.09, 5 F 2.10-2.24
Mn (0.5087, 0.8392, 0.4959)  1 O 2.08, 5 F 2.10-2.24
Mn (0.9746, 0.9883, 0.3404)  1 O 2.03, 4 F 2.12-2.21
Mn (0.9782, 0.9830, 0.6709)  1 O 2.04, 4 F 2.11-2.23
Mn (0.9869, 0.3392, 0.8326)  6 F 2.10-2.19
Mn (0.9986, 0.3384, 0.5050)  6 F 2.09-2.21
O (0.7031, 0.7608, 0.3864)  3 Mn 1.87-2.08
O (0.7042, 0.7594, 0.7188)  2 Mn 1.86-2.04
F (0.2061, 0.0545, 0.7786)  3 Mn 2.11-2.19
F (0.2100, 0.0583, 0.4474)  3 Mn 2.12-2.18
F (0.2210, 0.2790, 0.9432)  3 Mn 2.10-2.18
F (0.2257, 0.0672, 0.1126)  3 Mn 2.10-2.18
F (0.2407, 0.2967, 0.6175)  2 Mn 2.03-2.19
F (0.2419, 0.2911, 0.2856)  2 Mn 2.05-2.22
F (0.2547, 0.7737, 0.2776)  3 Mn 2.15-2.17
F (0.2613, 0.5658, 0.1105)  3 Mn 2.11-2.18
F (0.2642, 0.7794, 0.6048)  3 Mn 2.16-2.18
F (0.2648, 0.5508, 0.4414)  3 Mn 2.07-2.24
F (0.2647, 0.5516, 0.7720)  3 Mn 2.05-2.24
F (0.2735, 0.7793, 0.9403)  3 Mn 2.13-2.22
F (0.7099, 0.5544, 0.2274)  3 Mn 2.09-2.22
F (0.7157, 0.5551, 0.5610)  3 Mn 2.07-2.24
F (0.7264, 0.7780, 0.0605)  3 Mn 2.12-2.18
F (0.7286, 0.5653, 0.8927)  3 Mn 2.10-2.21
F (0.7507, 0.2759, 0.7218)  3 Mn 2.12-2.23
F (0.7554, 0.2791, 0.3922)  3 Mn 2.11-2.21
F (0.7602, 0.0679, 0.8924)  3 Mn 2.10-2.18
F (0.7679, 0.2759, 0.0601)  3 Mn 2.13-2.23
F (0.7732, 0.0634, 0.5585)  3 Mn 2.10-2.15
F (0.7749, 0.0621, 0.2267)  3 Mn 2.11-2.16

---

2.
# Mn3O4F2

Crystalline Mn3O4F2 at its relaxed geometry (PBE with a Hubbard U, the Materials Project database).

abc: 4.6718 4.6720 9.0263
angles: 89.28 89.15 88.83
Last column: nearest neighbours and their distance in Å.
Space group P1 (No. 1)
Asymmetric unit:
Mn (0.0000, 0.0000, 0.0000)  4 O 1.86-2.08, 2 F 2.02-2.03
Mn (0.0016, 0.9991, 0.6817)  4 O 1.95-1.98, 2 F 2.11-2.16
Mn (0.0064, 0.0063, 0.3642)  3 O 1.90-2.12, 2 F 2.01-2.02
Mn (0.4975, 0.4965, 0.8621)  4 O 1.85-2.05, 1 F 2.02
Mn (0.5018, 0.5021, 0.4963)  4 O 1.81-1.98, 1 F 1.98
Mn (0.5138, 0.5135, 0.1804)  4 O 1.93-2.03, 2 F 2.09-2.10
O (0.1967, 0.8134, 0.8477)  3 Mn 1.86-2.02
O (0.2026, 0.8004, 0.5179)  3 Mn 1.91-1.97
O (0.3103, 0.3102, 0.0167)  2 Mn 1.85-2.03
O (0.3251, 0.3246, 0.3465)  2 Mn 1.81-1.94
O (0.6902, 0.6895, 0.3478)  2 Mn 1.82-1.93
O (0.7164, 0.7161, 0.0174)  3 Mn 1.90-2.05
O (0.8026, 0.2003, 0.5177)  3 Mn 1.90-1.98
O (0.8143, 0.1957, 0.8476)  3 Mn 1.86-2.02
F (0.1888, 0.8300, 0.1829)  3 Mn 2.01-2.10
F (0.3176, 0.3164, 0.6705)  3 Mn 1.98-2.12
F (0.6779, 0.6766, 0.6801)  3 Mn 2.02-2.16
F (0.8297, 0.1890, 0.1820)  3 Mn 2.02-2.09

---

3.
# Mn3O4F2

Crystalline Mn3O4F2 at its relaxed geometry (PBE with a Hubbard U, the Materials Project database).

abc: 5.5457 5.5491 7.3903
angles: 71.50 71.35 70.93
Last column: nearest neighbours and their distance in Å.
Space group P1 (No. 1)
Asymmetric unit:
Mn (0.0000, 0.0000, 0.0000)  4 O 1.97-2.02, 2 F 2.03-2.07
Mn (0.0139, 0.0153, 0.5008)  5 O 1.94-2.09, 1 F 2.13
Mn (0.3388, 0.3403, 0.1748)  4 O 1.95-1.96, 2 F 2.04-2.06
Mn (0.3627, 0.3032, 0.6704)  3 O 1.91-1.98, 3 F 2.04-2.12
Mn (0.6514, 0.6509, 0.8337)  4 O 1.91-1.96, 2 F 2.11-2.12
Mn (0.6833, 0.6850, 0.3536)  4 O 1.89-1.97, 1 F 2.02
O (0.1158, 0.0971, 0.7101)  3 Mn 1.96-2.02
O (0.3052, 0.6936, 0.0030)  3 Mn 1.91-1.97
O (0.3710, 0.9819, 0.3397)  3 Mn 1.94-1.97
O (0.5712, 0.5516, 0.6367)  3 Mn 1.92-1.98
O (0.6610, 0.0066, 0.6722)  3 Mn 1.91-1.97
O (0.6920, 0.3050, 0.0019)  3 Mn 1.91-1.97
O (0.9116, 0.9028, 0.2968)  3 Mn 1.89-2.09
O (0.9813, 0.3727, 0.3404)  3 Mn 1.94-1.97
F (0.0464, 0.6216, 0.6718)  3 Mn 2.04-2.13
F (0.2305, 0.2327, 0.9780)  3 Mn 2.03-2.10
F (0.4574, 0.4579, 0.3626)  3 Mn 2.02-2.12
F (0.7646, 0.7551, 0.0410)  3 Mn 2.07-2.14

---

4.
# Mn3O5F

Crystalline Mn3O5F at its relaxed geometry (PBE with a Hubbard U, the Materials Project database).

abc: 4.5577 5.4488 7.5348
angles: 86.29 88.59 87.90
Last column: nearest neighbours and their distance in Å.
Space group P-1 (No. 2)
Asymmetric unit:
Mn (0.0000, 0.0000, 0.0000)  4 O 1.95-1.96, 2 F 2.08
Mn (0.0051, 0.3380, 0.6675)  6 O 1.93-2.05
Mn (0.4795, 0.8303, 0.6512)  5 O 1.84-1.97, 1 F 1.97
Mn (0.5000, 0.5000, 0.0000)  4 O 1.92-2.02, 2 F 2.04
O (0.1871, 0.6970, 0.1008)  3 Mn 1.92-1.95
O (0.1932, 0.3683, 0.4360)  3 Mn 1.93-1.94
O (0.2051, 0.0456, 0.7692)  3 Mn 1.92-1.96
O (0.2990, 0.5436, 0.7632)  3 Mn 1.93-2.02
O (0.3055, 0.8750, 0.4327)  3 Mn 1.84-2.05
F (0.3169, 0.1934, 0.1200)  3 Mn 1.97-2.08

---

We obtain ΔE to the lowest computed polymorph values of 19.1, 48.7, 30.4, 13.9 meV/atom for the records listed above, in that order.
We obtain VASP energy values of -232.3, -122.6, -123.0, -125.3 eV for the cell shown for the records listed above, in that order.
We obtain energy of formation from the pure elements values of -2.831, -2.099, -2.117, -1.937 eV/atom for the records listed above, in that order.